1.
! Nb5V3S20, optimized geometry, DFT r²SCAN; values from VASP
&SYSTEM
  ibrav = 0, nat = 28, ntyp = 3
/
ATOMIC_SPECIES
S 32.06 S.upf
Nb 92.91 Nb.upf
V 50.94 V.upf
CELL_PARAMETERS angstrom
3.3894 9.0725 -0.0068
-3.3894 9.0725 -0.0068
0.0000 4.8643 9.1965
ATOMIC_POSITIONS crystal
S 0.8110 0.3138 0.1341
S 0.1275 0.6202 0.6513
S 0.5512 0.5512 0.4102
S 0.4669 0.4669 0.9799
S 0.4741 0.9754 0.2450
S 0.0318 0.5313 0.0238
S 0.0239 0.0239 0.7582
S 0.0450 0.0450 0.3986
S 0.1865 0.1865 0.8689
S 0.9515 0.4467 0.5957
S 0.6862 0.6862 0.8701
S 0.9669 0.9669 0.9791
S 0.3802 0.3802 0.3422
S 0.9754 0.4741 0.2450
S 0.4467 0.9515 0.5957
S 0.5237 0.5237 0.7589
S 0.6202 0.1275 0.6513
S 0.5313 0.0318 0.0238
S 0.3138 0.8110 0.1341
S 0.8823 0.8823 0.3385
Nb 0.6643 0.6643 0.1387
Nb 0.8342 0.3351 0.8656
Nb 0.1635 0.1635 0.1382
Nb 0.3351 0.8342 0.8656
Nb 0.8019 0.8019 0.5872
V 0.2914 0.2914 0.6079
V 0.2283 0.6849 0.3961
V 0.6849 0.2283 0.3961
! energy = -12.640 eV per atom
! energy relative to the elements = -0.97 eV per atom

2.
! Nb4VS8, optimized geometry, DFT r²SCAN; values from VASP
&SYSTEM
  ibrav = 0, nat = 26, ntyp = 3
/
ATOMIC_SPECIES
S 32.06 S.upf
V 50.94 V.upf
Nb 92.91 Nb.upf
CELL_PARAMETERS angstrom
-6.0865 1.3875 -2.4527
0.6029 -3.2488 5.8368
0.0409 10.7022 5.9526
ATOMIC_POSITIONS crystal
S 0.1662 0.8338 0.3781
S 0.6667 0.3333 0.1202
S 0.8338 0.1662 0.8780
S 0.8338 0.6676 0.8780
S 0.6676 0.8338 0.1220
S 0.8338 0.1662 0.6219
S 0.3324 0.1662 0.6219
S 0.1662 0.3324 0.1220
S 0.3324 0.1662 0.8780
S 0.8338 0.6676 0.6219
S 0.3333 0.6667 0.8798
S 0.1662 0.3324 0.3781
S 0.6676 0.8338 0.3781
S 0.3333 0.6667 0.6201
S 0.1662 0.8338 0.1220
S 0.6667 0.3333 0.3799
V 0.0000 0.0000 0.5000
V 0.0000 0.0000 0.0000
Nb 0.5055 0.0111 0.2500
Nb 0.4945 0.5055 0.7500
Nb 0.9889 0.4945 0.2500
Nb 0.0111 0.5055 0.7500
Nb 0.0000 0.0000 0.7500
Nb 0.0000 0.0000 0.2500
Nb 0.4945 0.9889 0.7500
Nb 0.5055 0.4945 0.2500
! energy = -14.955 eV per atom
! energy relative to the elements = -1.32 eV per atom

3.
! Nb3WS8, optimized geometry, DFT r²SCAN; values from VASP
&SYSTEM
  ibrav = 0, nat = 12, ntyp = 3
/
ATOMIC_SPECIES
S 32.06 S.upf
W 183.84 W.upf
Nb 92.91 Nb.upf
CELL_PARAMETERS angstrom
-1.6602 -2.8756 -0.0018
3.3205 0.0000 0.0000
0.0000 -1.9016 25.5263
ATOMIC_POSITIONS crystal
S 0.7927 0.8964 0.3115
S 0.2927 0.1463 0.5623
S 0.8722 0.4361 0.6914
S 0.8736 0.9368 0.1878
S 0.2933 0.6466 0.0614
S 0.7942 0.3971 0.8101
S 0.3740 0.6870 0.9377
S 0.3736 0.1868 0.4387
W 0.4999 0.7500 0.7507
Nb 0.4998 0.2499 0.2496
Nb 0.9998 0.4999 0.5004
Nb 0.0002 0.0001 0.9995
! energy = -16.889 eV per atom
! energy relative to the elements = -1.07 eV per atom

4.
! Nb5Sb4, optimized geometry, DFT r²SCAN; values from VASP
&SYSTEM
  ibrav = 0, nat = 9, ntyp = 2
/
ATOMIC_SPECIES
Sb 121.76 Sb.upf
Nb 92.91 Nb.upf
CELL_PARAMETERS angstrom
-2.9859 -1.9712 0.2188
0.9971 -4.0636 6.3175
-4.7238 4.3471 4.0265
ATOMIC_POSITIONS crystal
Sb 0.7087 0.3459 0.2379
Sb 0.2913 0.6541 0.7621
Sb 0.0540 0.2368 0.6551
Sb 0.9460 0.7632 0.3449
Nb 0.0000 0.0000 0.0000
Nb 0.6880 0.9375 0.6844
Nb 0.3120 0.0625 0.3156
Nb 0.3726 0.3167 0.9384
Nb 0.6274 0.6833 0.0616
! energy = -25.527 eV per atom
! energy relative to the elements = -0.36 eV per atom

5.
! Nb12Sn3Sb, optimized geometry, DFT r²SCAN; values from VASP
&SYSTEM
  ibrav = 0, nat = 16, ntyp = 3
/
ATOMIC_SPECIES
Nb 92.91 Nb.upf
Sn 118.71 Sn.upf
Sb 121.76 Sb.upf
CELL_PARAMETERS angstrom
-2.1762 -2.2498 4.2929
4.8520 -1.1910 1.8354
0.3702 9.3446 5.0849
ATOMIC_POSITIONS crystal
Nb 0.0000 0.5000 0.6234
Nb 0.2481 0.0000 0.2510
Nb 0.0000 0.5000 0.1234
Nb 0.7519 0.0000 0.2510
Nb 0.5000 0.2474 0.5000
Nb 0.2481 0.0000 0.7490
Nb 0.5000 0.7526 0.5000
Nb 0.7519 0.0000 0.7490
Nb 0.0000 0.5000 0.8766
Nb 0.5000 0.7505 0.0000
Nb 0.0000 0.5000 0.3766
Nb 0.5000 0.2495 0.0000
Sn 0.0000 0.0000 0.0000
Sn 0.5000 0.5000 0.2500
Sn 0.5000 0.5000 0.7500
Sb 0.0000 0.0000 0.5000
! energy = -25.048 eV per atom
! energy relative to the elements = -0.25 eV per atom

6.
! U3NbSb5, optimized geometry, DFT r²SCAN; values from VASP
&SYSTEM
  ibrav = 0, nat = 18, ntyp = 3
/
ATOMIC_SPECIES
Sb 121.76 Sb.upf
U 238.03 U.upf
Nb 92.91 Nb.upf
CELL_PARAMETERS angstrom
4.6400 -8.0369 0.0001
4.6396 8.0369 0.0001
-0.0002 0.0000 6.2016
ATOMIC_POSITIONS crystal
Sb 0.3334 0.6667 0.5000
Sb 0.7366 0.7367 0.2506
Sb 0.6666 0.3333 0.5000
Sb 0.2634 0.0000 0.2507
Sb 0.0000 0.2634 0.2506
Sb 0.7366 0.0000 0.7494
Sb 0.3334 0.6667 0.0000
Sb 0.2634 0.2634 0.7494
Sb 0.6666 0.3333 0.0000
Sb 0.0000 0.7366 0.7494
U 0.3859 0.0000 0.7471
U 0.6141 0.0000 0.2530
U 0.6141 0.6141 0.7470
U 0.0000 0.3859 0.7470
U 0.0000 0.6141 0.2530
U 0.3859 0.3859 0.2530
Nb 0.0000 0.0000 0.0000
Nb 0.0000 0.0000 0.5000
! energy = -44.273 eV per atom
! energy relative to the elements = -0.60 eV per atom